# 1
First-principles (PBE-GGA) data for a geometry-optimized MgSn3P3O13 structure, as listed in Materials Project.

Structure (CIF):
```
data_MgSn3P3O13
_chemical_formula_sum 'Mg2 Sn6 P6 O26'
_cell_length_a 7.867
_cell_length_b 6.821
_cell_length_c 10.490
_cell_angle_alpha 90.00
_cell_angle_beta 97.58
_cell_angle_gamma 90.00
_symmetry_space_group_name_H-M 'P 1 21/m 1'
_symmetry_Int_Tables_number 11
loop_
_symmetry_equiv_pos_as_xyz
'x,y,z'
'-x,-y,-z'
'-x,y+1/2,-z'
'x,-y+1/2,z'
loop_
_atom_site_label
_atom_site_type_symbol
_atom_site_fract_x
_atom_site_fract_y
_atom_site_fract_z
Mg1 Mg 0.064 0.250 0.225
Sn1 Sn 0.184 0.250 0.743
Sn2 Sn 0.303 0.750 0.393
Sn3 Sn 0.500 0.000 0.000
P1 P 0.149 0.750 0.073
P2 P 0.195 0.250 0.477
P3 P 0.290 0.750 0.730
O1 O 0.016 0.750 0.955
O2 O 0.040 0.250 0.558
O3 O 0.054 0.750 0.198
O4 O 0.167 0.571 0.741
O5 O 0.189 0.075 0.383
O6 O 0.264 0.563 0.087
O7 O 0.349 0.250 0.589
O8 O 0.373 0.750 0.608
O9 O 0.376 0.250 0.894
O10 O 0.432 0.750 0.853
```

Properties
Total magnetization = 0.001 Bohr magnetons per cell
DFT total energy = -6.675 eV per atom

=====

# 2
First-principles (PBE-GGA) data for a geometry-optimized LuMgMnS4 structure, as listed in Materials Project.

Structure (CIF):
```
data_LuMgMnS4
_chemical_formula_sum 'Lu4 Mg4 Mn4 S16'
_cell_length_a 7.547
_cell_length_b 7.662
_cell_length_c 10.482
_cell_angle_alpha 90.00
_cell_angle_beta 90.00
_cell_angle_gamma 90.00
_symmetry_space_group_name_H-M 'I m m a'
_symmetry_Int_Tables_number 74
_symmetry_space_group_name_Hall '-I 2b 2'
loop_
_atom_site_label
_atom_site_type_symbol
_atom_site_fract_x
_atom_site_fract_y
_atom_site_fract_z
Lu1 Lu 0.000 0.000 0.000
Mg1 Mg 0.000 0.250 0.374
Mn1 Mn 0.250 0.250 0.750
S1 S 0.000 0.029 0.749
S2 S 0.244 0.250 0.982
```

Properties
Total magnetization = 16.001 Bohr magnetons per cell
DFT total energy = -5.831 eV per atom

=====

# 3
First-principles (PBE-GGA) data for a geometry-optimized Pu4Zr structure, as listed in Materials Project.

Structure (CIF):
```
data_Pu4Zr
_chemical_formula_sum 'Pu16 Zr4'
_cell_length_a 3.236
_cell_length_b 4.853
_cell_length_c 23.627
_cell_angle_alpha 90.00
_cell_angle_beta 90.00
_cell_angle_gamma 90.00
_symmetry_space_group_name_H-M 'F m m m'
_symmetry_Int_Tables_number 69
_symmetry_space_group_name_Hall '-F 2 2'
loop_
_atom_site_label
_atom_site_type_symbol
_atom_site_fract_x
_atom_site_fract_y
_atom_site_fract_z
Pu1 Pu 0.000 0.000 0.117
Pu2 Pu 0.000 0.000 0.300
Zr1 Zr 0.000 0.000 0.500
```

Properties
Total magnetization = 6.943 Bohr magnetons per cell
DFT total energy = -12.579 eV per atom

=====

# 4
First-principles (PBE-GGA) data for a geometry-optimized PO4 structure, as listed in Materials Project.

Structure (CIF):
```
data_PO4
_chemical_formula_sum 'P4 O16'
_cell_length_a 6.196
_cell_length_b 5.096
_cell_length_c 12.076
_cell_angle_alpha 90.00
_cell_angle_beta 94.97
_cell_angle_gamma 90.00
_symmetry_space_group_name_H-M 'P 1 21/c 1'
_symmetry_Int_Tables_number 14
loop_
_symmetry_equiv_pos_as_xyz
'x,y,z'
'-x,-y,-z'
'-x,y+1/2,-z+1/2'
'x,-y+1/2,z+1/2'
loop_
_atom_site_label
_atom_site_type_symbol
_atom_site_fract_x
_atom_site_fract_y
_atom_site_fract_z
P1 P 0.206 0.196 0.135
O1 O 0.043 0.686 0.377
O2 O 0.277 0.145 0.536
O3 O 0.281 0.174 0.747
O4 O 0.304 0.581 0.633
```

Properties
Total magnetization = 12.000 Bohr magnetons per cell
DFT total energy = -5.817 eV per atom

=====

# 5
First-principles (PBE-GGA) data for a geometry-optimized K4MgRu2Cl10O2 structure, as listed in Materials Project.

Structure (CIF):
```
data_K4MgRu2Cl10O2
_chemical_formula_sum 'K8 Mg2 Ru4 Cl20 O4'
_cell_length_a 10.220
_cell_length_b 10.218
_cell_length_c 10.188
_cell_angle_alpha 90.00
_cell_angle_beta 120.06
_cell_angle_gamma 90.00
_symmetry_space_group_name_H-M 'C 1 m 1'
_symmetry_Int_Tables_number 8
loop_
_symmetry_equiv_pos_as_xyz
'x,y,z'
'x,-y,z'
'x+1/2,y+1/2,z'
'x+1/2,-y+1/2,z'
loop_
_atom_site_label
_atom_site_type_symbol
_atom_site_fract_x
_atom_site_fract_y
_atom_site_fract_z
K1 K 0.000 0.249 0.000
K2 K 0.238 0.251 0.475
Mg1 Mg 0.109 0.000 0.712
Ru1 Ru 0.099 0.500 0.698
Ru2 Ru 0.391 0.000 0.282
Cl1 Cl 0.106 0.264 0.712
Cl2 Cl 0.108 0.500 0.255
Cl3 Cl 0.147 0.000 0.257
Cl4 Cl 0.232 0.500 0.964
Cl5 Cl 0.243 0.000 0.987
Cl6 Cl 0.342 0.500 0.711
Cl7 Cl 0.370 0.000 0.712
Cl8 Cl 0.378 0.231 0.256
O1 O 0.494 0.000 0.487
O2 O 0.498 0.500 0.500
```

Properties
Total magnetization = 0.000 Bohr magnetons per cell
DFT total energy = -4.005 eV per atom

=====

# 6
First-principles (PBE-GGA) data for a geometry-optimized Te3Cl2 structure, as listed in Materials Project.

Structure (CIF):
```
data_Te3Cl2
_chemical_formula_sum 'Te12 Cl8'
_cell_length_a 7.552
_cell_length_b 8.741
_cell_length_c 12.161
_cell_angle_alpha 90.00
_cell_angle_beta 120.65
_cell_angle_gamma 90.00
_symmetry_space_group_name_H-M 'P 1 21/c 1'
_symmetry_Int_Tables_number 14
loop_
_symmetry_equiv_pos_as_xyz
'x,y,z'
'-x,-y,-z'
'-x,y+1/2,-z+1/2'
'x,-y+1/2,z+1/2'
loop_
_atom_site_label
_atom_site_type_symbol
_atom_site_fract_x
_atom_site_fract_y
_atom_site_fract_z
Te1 Te 0.005 0.245 0.408
Te2 Te 0.299 0.149 0.839
Te3 Te 0.302 0.658 0.355
Cl1 Cl 0.215 0.515 0.669
Cl2 Cl 0.228 0.006 0.479
```

Properties
DFT total energy = -2.917 eV per atom

=====

# 7
First-principles (PBE-GGA) data for a geometry-optimized Na8Ca2Ga2Si3S3O24 structure, as listed in Materials Project.

Structure (CIF):
```
data_Na8Ca2Ga2Si3S3O24
_chemical_formula_sum 'Na24 Ca6 Ga6 Si9 S9 O72'
_cell_length_a 9.294
_cell_length_b 9.306
_cell_length_c 22.602
_cell_angle_alpha 86.09
_cell_angle_beta 85.99
_cell_angle_gamma 61.37
_symmetry_space_group_name_H-M 'P 1'
_symmetry_Int_Tables_number 1
loop_
_symmetry_equiv_pos_as_xyz
'x,y,z'
loop_
_atom_site_label
_atom_site_type_symbol
_atom_site_fract_x
_atom_site_fract_y
_atom_site_fract_z
Na1 Na 0.000 0.000 0.000
Na2 Na 0.000 0.289 0.412
Na3 Na 0.012 0.646 0.159
Na4 Na 0.020 0.909 0.667
Na5 Na 0.024 0.275 0.923
Na6 Na 0.043 0.614 0.833
Na7 Na 0.045 0.968 0.341
Na8 Na 0.302 0.963 0.844
Na9 Na 0.328 0.641 0.749
Na10 Na 0.335 0.314 0.317
Na11 Na 0.343 0.980 0.491
Na12 Na 0.356 0.252 0.014
Na13 Na 0.363 0.605 0.244
Na14 Na 0.371 0.304 0.668
Na15 Na 0.390 0.932 0.156
Na16 Na 0.641 0.295 0.172
Na17 Na 0.661 0.966 0.086
Na18 Na 0.663 0.653 0.655
Na19 Na 0.684 0.577 0.332
Na20 Na 0.692 0.308 0.848
Na21 Na 0.697 0.936 0.579
Na22 Na 0.706 0.618 0.010
Na23 Na 0.724 0.270 0.488
Na24 Na 0.975 0.629 0.508
Ca1 Ca 0.008 0.296 0.564
Ca2 Ca 0.016 0.294 0.066
Ca3 Ca 0.352 0.628 0.904
Ca4 Ca 0.355 0.624 0.400
Ca5 Ca 0.676 0.963 0.232
Ca6 Ca 0.692 0.953 0.735
Ga1 Ga 0.014 0.295 0.765
Ga2 Ga 0.318 0.641 0.586
Ga3 Ga 0.408 0.593 0.100
Ga4 Ga 0.691 0.982 0.944
Ga5 Ga 0.720 0.946 0.437
Ga6 Ga 0.985 0.306 0.252
Si1 Si 0.028 0.583 0.663
Si2 Si 0.042 0.928 0.496
Si3 Si 0.303 0.307 0.164
Si4 Si 0.363 0.917 0.995
Si5 Si 0.637 0.639 0.496
Si6 Si 0.653 0.318 0.997
Si7 Si 0.695 0.250 0.329
Si8 Si 0.710 0.596 0.163
Si9 Si 0.978 0.969 0.828
S1 S 0.031 0.985 0.169
S2 S 0.035 0.640 0.996
S3 S 0.310 0.995 0.669
S4 S 0.364 0.318 0.502
S5 S 0.373 0.259 0.831
S6 S 0.373 0.971 0.336
S7 S 0.694 0.641 0.829
S8 S 0.707 0.305 0.670
S9 S 0.977 0.658 0.336
O1 O 0.002 0.505 0.606
O2 O 0.009 0.495 0.999
O3 O 0.010 0.078 0.112
O4 O 0.019 0.112 0.500
O5 O 0.035 0.082 0.220
O6 O 0.059 0.452 0.724
O7 O 0.119 0.654 0.046
O8 O 0.122 0.631 0.938
O9 O 0.126 0.812 0.557
O10 O 0.146 0.844 0.437
O11 O 0.147 0.637 0.336
O12 O 0.161 0.811 0.834
O13 O 0.171 0.330 0.225
O14 O 0.186 0.829 0.170
O15 O 0.205 0.268 0.833
O16 O 0.208 0.083 0.722
O17 O 0.208 0.595 0.657
O18 O 0.211 0.124 0.336
O19 O 0.213 0.103 0.003
O20 O 0.225 0.283 0.509
O21 O 0.232 0.271 0.107
O22 O 0.235 0.086 0.614
O23 O 0.305 0.489 0.158
O24 O 0.322 0.829 0.671
O25 O 0.326 0.851 0.937
O26 O 0.342 0.414 0.446
O27 O 0.345 0.826 0.336
O28 O 0.349 0.429 0.832
O29 O 0.371 0.412 0.554
O30 O 0.391 0.786 0.055
O31 O 0.461 0.157 0.883
O32 O 0.461 0.973 0.388
O33 O 0.463 0.185 0.775
O34 O 0.468 0.961 0.280
O35 O 0.478 0.979 0.670
O36 O 0.488 0.155 0.171
O37 O 0.504 0.665 0.558
O38 O 0.520 0.161 0.503
O39 O 0.527 0.601 0.164
O40 O 0.533 0.409 0.056
O41 O 0.535 0.432 0.335
O42 O 0.546 0.918 0.987
O43 O 0.550 0.462 0.669
O44 O 0.551 0.611 0.833
O45 O 0.569 0.411 0.936
O46 O 0.572 0.598 0.439
O47 O 0.640 0.822 0.491
O48 O 0.661 0.132 0.001
O49 O 0.667 0.167 0.675
O50 O 0.668 0.173 0.272
O51 O 0.678 0.735 0.773
O52 O 0.685 0.781 0.167
O53 O 0.708 0.724 0.880
O54 O 0.724 0.123 0.391
O55 O 0.794 0.479 0.224
O56 O 0.801 0.310 0.721
O57 O 0.804 0.280 0.614
O58 O 0.816 0.517 0.104
O59 O 0.822 0.490 0.506
O60 O 0.839 0.291 0.999
O61 O 0.843 0.000 0.887
O62 O 0.852 0.477 0.827
O63 O 0.858 0.933 0.498
O64 O 0.868 0.766 0.669
O65 O 0.868 0.795 0.995
O66 O 0.875 0.261 0.324
O67 O 0.879 0.744 0.391
O68 O 0.890 0.951 0.175
O69 O 0.898 0.754 0.282
O70 O 0.906 0.946 0.768
O71 O 0.985 0.494 0.339
O72 O 0.991 0.148 0.823
```

Properties
Total magnetization = 0.000 Bohr magnetons per cell
DFT total energy = -6.060 eV per atom

=====

# 8
First-principles (PBE-GGA) data for a geometry-optimized BaIn2Cu2 structure, as listed in Materials Project.

Structure (CIF):
```
data_BaIn2Cu2
_chemical_formula_sum 'Ba2 In4 Cu4'
_cell_length_a 4.533
_cell_length_b 4.533
_cell_length_c 11.742
_cell_angle_alpha 90.00
_cell_angle_beta 90.00
_cell_angle_gamma 90.00
_symmetry_space_group_name_H-M 'I 4/m m m'
_symmetry_Int_Tables_number 139
_symmetry_space_group_name_Hall '-I 4 2'
loop_
_atom_site_label
_atom_site_type_symbol
_atom_site_fract_x
_atom_site_fract_y
_atom_site_fract_z
Ba1 Ba 0.000 0.000 0.000
In1 In 0.000 0.500 0.250
Cu1 Cu 0.000 0.000 0.387
```

Properties
Total magnetization = 0.002 Bohr magnetons per cell
DFT total energy = -3.282 eV per atom

=====

# 9
First-principles (PBE-GGA) data for a geometry-optimized CrCuRhSe4 structure, as listed in Materials Project.

Structure (CIF):
```
data_CrCuRhSe4
_chemical_formula_sum 'Cr4 Cu4 Rh4 Se16'
_cell_length_a 7.213
_cell_length_b 7.469
_cell_length_c 10.370
_cell_angle_alpha 90.00
_cell_angle_beta 90.00
_cell_angle_gamma 90.00
_symmetry_space_group_name_H-M 'I m m a'
_symmetry_Int_Tables_number 74
_symmetry_space_group_name_Hall '-I 2b 2'
loop_
_atom_site_label
_atom_site_type_symbol
_atom_site_fract_x
_atom_site_fract_y
_atom_site_fract_z
Cr1 Cr 0.250 0.250 0.250
Cu1 Cu 0.000 0.250 0.628
Rh1 Rh 0.000 0.000 0.000
Se1 Se 0.000 0.015 0.243
Se2 Se 0.233 0.250 0.008
```

Properties
Total magnetization = 8.870 Bohr magnetons per cell
DFT total energy = -5.441 eV per atom

=====

# 10
First-principles (PBE-GGA) data for a geometry-optimized RbGaS2 structure, as listed in Materials Project.

Structure (CIF):
```
data_RbGaS2
_chemical_formula_sum 'Rb16 Ga16 S32'
_cell_length_a 10.673
_cell_length_b 10.665
_cell_length_c 15.642
_cell_angle_alpha 90.00
_cell_angle_beta 99.83
_cell_angle_gamma 90.00
_symmetry_space_group_name_H-M 'C 1 2/c 1'
_symmetry_Int_Tables_number 15
loop_
_symmetry_equiv_pos_as_xyz
'x,y,z'
'-x,-y,-z'
'-x,y,-z+1/2'
'x,-y,z+1/2'
'x+1/2,y+1/2,z'
'-x+1/2,-y+1/2,-z'
'-x+1/2,y+1/2,-z+1/2'
'x+1/2,-y+1/2,z+1/2'
loop_
_atom_site_label
_atom_site_type_symbol
_atom_site_fract_x
_atom_site_fract_y
_atom_site_fract_z
Rb1 Rb 0.037 0.187 0.394
Rb2 Rb 0.214 0.438 0.106
Ga1 Ga 0.103 0.189 0.668
Ga2 Ga 0.144 0.436 0.832
S1 S 0.000 0.059 0.750
S2 S 0.000 0.434 0.250
S3 S 0.043 0.312 0.923
S4 S 0.208 0.063 0.581
S5 S 0.247 0.188 0.250
```

Properties
DFT total energy = -4.115 eV per atom